Material: EuZnGe
Method: DFT, PBE-GGA
State: relaxed

Unit cell a=4.2956 b=4.2956 c=4.4634 alpha=90.00 beta=90.00 gamma=120.00
Fractional positions:
Zn  0.6667  0.3333  0.5000
Ge  0.0000  0.0000  0.5000
Eu  0.3333  0.6667  0.0000

SG: P-6m2, No. 187
Energy of formation from the pure elements in kJ per mole of atoms: -53.3